DFT (r2SCAN) results for a relaxed structure of BaLu2Te4.

Values from the calculation:
symmetry: No. 62
energy of formation: -1.761 eV/atom
calculated volume: 968 Å³/cell
E: -866.6 eV/cell

abc: 13.6725 4.4160 16.0323
angles: 90.00 90.00 90.00
With the nearest neighbours (Å) after each atom.
Positions (direct):
Ba 0.2386 0.2500 0.1695  8 Te 3.54-3.72
Ba 0.2614 0.7500 0.6695  8 Te 3.54-3.72
Ba 0.7386 0.2500 0.3305  8 Te 3.54-3.72
Ba 0.7614 0.7500 0.8305  8 Te 3.54-3.72
Lu 0.0576 0.2500 0.3898  6 Te 2.99-3.07
Lu 0.0812 0.2500 0.9031  6 Te 3.01-3.09
Lu 0.4188 0.7500 0.4031  6 Te 3.01-3.09
Lu 0.4424 0.7500 0.8898  6 Te 2.99-3.07
Lu 0.5576 0.2500 0.1102  6 Te 2.99-3.07
Lu 0.5812 0.2500 0.5969  6 Te 3.01-3.09
Lu 0.9188 0.7500 0.0969  6 Te 3.01-3.09
Lu 0.9424 0.7500 0.6102  6 Te 2.99-3.07
Te 0.0278 0.7500 0.7843  3 Lu 3.01-3.03
Te 0.0887 0.2500 0.5746  3 Lu 2.99-3.03
Te 0.1237 0.7500 0.0272  3 Lu 3.02-3.03
Te 0.2038 0.7500 0.3446  3 Lu 3.07-3.09
Te 0.2962 0.2500 0.8446  3 Lu 3.07-3.09
Te 0.3763 0.2500 0.5272  3 Lu 3.02-3.03
Te 0.4113 0.7500 0.0746  3 Lu 2.99-3.03
Te 0.4722 0.2500 0.2843  3 Lu 3.01-3.03
Te 0.5278 0.7500 0.7157  3 Lu 3.01-3.03
Te 0.5887 0.2500 0.9254  3 Lu 2.99-3.03
Te 0.6237 0.7500 0.4728  3 Lu 3.02-3.03
Te 0.7038 0.7500 0.1554  3 Lu 3.07-3.09
Te 0.7962 0.2500 0.6554  3 Lu 3.07-3.09
Te 0.8763 0.2500 0.9728  3 Lu 3.02-3.03
Te 0.9113 0.7500 0.4254  3 Lu 2.99-3.03
Te 0.9722 0.2500 0.2157  3 Lu 3.01-3.03

DFT (r2SCAN) results for a relaxed structure of Ba2MgP2O8.

Values from the calculation:
symmetry: No. 14
energy of formation: -3.054 eV/atom
calculated volume: 765 Å³/cell
E: -650.6 eV/cell

abc: 5.3209 8.8639 17.0126
angles: 90.00 107.56 90.00
With the nearest neighbours (Å) after each atom.
Positions (direct):
Ba 0.0245 0.1569 0.2714  7 O 2.75-2.92
Ba 0.0245 0.3431 0.7714  7 O 2.75-2.92
Ba 0.1815 0.7037 0.9802  7 O 2.65-2.96
Ba 0.1815 0.7963 0.4802  7 O 2.65-2.96
Ba 0.8185 0.2037 0.5198  7 O 2.65-2.96
Ba 0.8185 0.2963 0.0198  7 O 2.65-2.96
Ba 0.9755 0.6569 0.2286  7 O 2.75-2.92
Ba 0.9755 0.8431 0.7286  7 O 2.75-2.92
Mg 0.4069 0.0146 0.1335  5 O 2.04-2.08
Mg 0.4069 0.4854 0.6335  5 O 2.04-2.08
Mg 0.5931 0.5146 0.3665  5 O 2.04-2.08
Mg 0.5931 0.9854 0.8665  5 O 2.04-2.08
P 0.1872 0.0871 0.9223  4 O 1.52-1.55
P 0.1872 0.4129 0.4223  4 O 1.52-1.55
P 0.4194 0.1097 0.6670  4 O 1.54-1.55
P 0.4194 0.3903 0.1670  4 O 1.54-1.55
P 0.5806 0.6097 0.8330  4 O 1.54-1.55
P 0.5806 0.8903 0.3330  4 O 1.54-1.55
P 0.8128 0.5871 0.5777  4 O 1.52-1.55
P 0.8128 0.9129 0.0777  4 O 1.52-1.55
O 0.0996 0.6357 0.6227  1 P 1.55
O 0.0996 0.8643 0.1227  1 P 1.55
O 0.2313 0.0830 0.0147  1 P 1.52
O 0.2313 0.4170 0.5147  1 P 1.52
O 0.2363 0.5665 0.3867  1 P 1.54
O 0.2363 0.9335 0.8867  1 P 1.54
O 0.2415 0.0256 0.5911  1 P 1.54
O 0.2415 0.4744 0.0911  1 P 1.54
O 0.2919 0.6102 0.8343  1 P 1.54
O 0.2919 0.8898 0.3343  1 P 1.54
O 0.3157 0.2269 0.1668  1 P 1.55
O 0.3157 0.2731 0.6668  1 P 1.55
O 0.3808 0.1971 0.9010  1 P 1.54
O 0.3808 0.3029 0.4010  1 P 1.54
O 0.4007 0.0303 0.7458  1 P 1.54
O 0.4007 0.4697 0.2458  1 P 1.54
O 0.5993 0.5303 0.7542  1 P 1.54
O 0.5993 0.9697 0.2542  1 P 1.54
O 0.6192 0.6971 0.5990  1 P 1.54
O 0.6192 0.8029 0.0990  1 P 1.54
O 0.6843 0.7269 0.3332  1 P 1.55
O 0.6843 0.7731 0.8332  1 P 1.55
O 0.7081 0.1102 0.6657  1 P 1.54
O 0.7081 0.3898 0.1657  1 P 1.54
O 0.7585 0.5256 0.9089  1 P 1.54
O 0.7585 0.9744 0.4089  1 P 1.54
O 0.7637 0.0665 0.1133  1 P 1.54
O 0.7637 0.4335 0.6133  1 P 1.54
O 0.7687 0.5830 0.4853  1 P 1.52
O 0.7687 0.9170 0.9853  1 P 1.52
O 0.9004 0.1357 0.8773  1 P 1.55
O 0.9004 0.3643 0.3773  1 P 1.55

DFT (r2SCAN) results for a relaxed structure of BaMg2Si2O7.

Values from the calculation:
symmetry: No. 15
energy of formation: -3.147 eV/atom
calculated volume: 634 Å³/cell
E: -527.8 eV/cell

abc: 7.3065 7.3065 13.7965
angles: 90.09 90.09 120.63
With the nearest neighbours (Å) after each atom.
Positions (direct):
Ba 0.1801 0.2170 0.1205  7 O 2.73-2.97
Ba 0.2170 0.1801 0.6205  7 O 2.73-2.97
Ba 0.7830 0.8199 0.3795  7 O 2.73-2.97
Ba 0.8199 0.7830 0.8795  7 O 2.73-2.97
Mg 0.1954 0.7258 0.4910  4 O 1.95-2.07
Mg 0.2299 0.7701 0.7500  4 O 2.00-2.04
Mg 0.2308 0.7692 0.2500  4 O 1.95-1.97
Mg 0.2742 0.8046 0.0090  4 O 1.95-2.07
Mg 0.7258 0.1954 0.9910  4 O 1.95-2.07
Mg 0.7692 0.2308 0.7500  4 O 1.95-1.97
Mg 0.7701 0.2299 0.2500  4 O 2.00-2.04
Mg 0.8046 0.2742 0.5090  4 O 1.95-2.07
Si 0.1589 0.4130 0.8665  4 O 1.62-1.67
Si 0.2196 0.4287 0.3794  4 O 1.60-1.66
Si 0.4130 0.1589 0.3665  4 O 1.62-1.67
Si 0.4287 0.2196 0.8794  4 O 1.60-1.66
Si 0.5713 0.7804 0.1206  4 O 1.60-1.66
Si 0.5870 0.8411 0.6335  4 O 1.62-1.67
Si 0.7804 0.5713 0.6206  4 O 1.60-1.66
Si 0.8411 0.5870 0.1335  4 O 1.62-1.67
O 0.0013 0.7693 0.0591  1 Si 1.62
O 0.0543 0.2857 0.2963  1 Si 1.60
O 0.0805 0.3642 0.7540  1 Si 1.63
O 0.1126 0.3918 0.4860  1 Si 1.62
O 0.1984 0.6501 0.8861  1 Si 1.63
O 0.2307 0.9987 0.4409  1 Si 1.62
O 0.2857 0.0543 0.7963  1 Si 1.60
O 0.3146 0.6744 0.1346  1 Si 1.64
O 0.3256 0.6854 0.3654  1 Si 1.64
O 0.3499 0.8016 0.6139  1 Si 1.63
O 0.3642 0.0805 0.2540  1 Si 1.63
O 0.3918 0.1126 0.9860  1 Si 1.62
O 0.3919 0.4257 0.8796  2 Si 1.66-1.67
O 0.4257 0.3919 0.3796  2 Si 1.66-1.67
O 0.5743 0.6081 0.6204  2 Si 1.66-1.67
O 0.6081 0.5743 0.1204  2 Si 1.66-1.67
O 0.6082 0.8874 0.0140  1 Si 1.62
O 0.6358 0.9195 0.7460  1 Si 1.63
O 0.6501 0.1984 0.3861  1 Si 1.63
O 0.6744 0.3146 0.6346  1 Si 1.64
O 0.6854 0.3256 0.8654  1 Si 1.64
O 0.7143 0.9457 0.2037  1 Si 1.60
O 0.7693 0.0013 0.5591  1 Si 1.62
O 0.8016 0.3499 0.1139  1 Si 1.63
O 0.8874 0.6082 0.5140  1 Si 1.62
O 0.9195 0.6358 0.2460  1 Si 1.63
O 0.9457 0.7143 0.7037  1 Si 1.60
O 0.9987 0.2307 0.9409  1 Si 1.62

DFT (r2SCAN) results for a relaxed structure of Ba3SrMg2Te2O12.

Values from the calculation:
symmetry: No. 160
energy of formation: -2.525 eV/atom
calculated volume: 266 Å³/cell
E: -276.0 eV/cell

abc: 9.9139 9.9139 9.9139
angles: 33.59 33.59 33.59
With the nearest neighbours (Å) after each atom.
Positions (direct):
Ba 0.0000 0.0000 0.0000  12 O 2.87-2.91
Ba 0.2494 0.2494 0.2494  12 O 2.86-2.88
Ba 0.7503 0.7503 0.7503  12 O 2.85-2.87
Sr 0.4998 0.4998 0.4998  12 O 2.82-2.87
Mg 0.1253 0.1253 0.1253  6 O 2.10-2.12
Mg 0.6245 0.6245 0.6245  6 O 2.12-2.13
Te 0.3757 0.3757 0.3757  6 O 1.93-1.94
Te 0.8742 0.8742 0.8742  6 O 1.93-1.94
O 0.0178 0.4944 0.4944  1 Te 1.94, 1 Mg 2.13
O 0.2346 0.7527 0.7527  1 Te 1.94, 1 Mg 2.12
O 0.2585 0.2586 0.7310  1 Te 1.93, 1 Mg 2.12
O 0.2585 0.7310 0.2585  1 Te 1.93, 1 Mg 2.12
O 0.4944 0.0178 0.4944  1 Te 1.94, 1 Mg 2.13
O 0.4944 0.4944 0.0178  1 Te 1.94, 1 Mg 2.13
O 0.5165 0.9939 0.9939  1 Te 1.93, 1 Mg 2.10
O 0.7310 0.2585 0.2585  1 Te 1.93, 1 Mg 2.12
O 0.7527 0.2346 0.7527  1 Te 1.94, 1 Mg 2.12
O 0.7527 0.7527 0.2346  1 Te 1.94, 1 Mg 2.12
O 0.9939 0.5165 0.9939  1 Te 1.93, 1 Mg 2.10
O 0.9939 0.9939 0.5165  1 Te 1.93, 1 Mg 2.10

DFT (r2SCAN) results for a relaxed structure of BaMg2Pb2.

Values from the calculation:
symmetry: No. 129
energy of formation: -0.489 eV/atom
calculated volume: 305 Å³/cell
E: -299.7 eV/cell

abc: 4.9782 4.9782 12.3171
angles: 90.00 90.00 90.00
With the nearest neighbours (Å) after each atom.
Positions (direct):
Ba 0.2500 0.2500 0.2495  8 Mg 3.79-3.95, 8 Pb 3.80-3.96
Ba 0.7500 0.7500 0.7505  8 Mg 3.79-3.95, 8 Pb 3.80-3.96
Mg 0.2500 0.2500 0.6355  5 Pb 2.84-3.00
Mg 0.2500 0.7500 0.0000  4 Pb 2.98
Mg 0.7500 0.2500 0.0000  4 Pb 2.98
Mg 0.7500 0.7500 0.3645  5 Pb 2.84-3.00
Pb 0.2500 0.2500 0.8664  5 Mg 2.84-2.98
Pb 0.2500 0.7500 0.5000  4 Mg 3.00
Pb 0.7500 0.2500 0.5000  4 Mg 3.00
Pb 0.7500 0.7500 0.1336  5 Mg 2.84-2.98

DFT (r2SCAN) results for a relaxed structure of BaMg2Sb2.

Values from the calculation:
symmetry: No. 164
energy of formation: -0.927 eV/atom
calculated volume: 164 Å³/cell
E: -90.9 eV/cell

abc: 4.7985 4.7985 8.2059
angles: 90.00 90.00 120.00
With the nearest neighbours (Å) after each atom.
Positions (direct):
Ba 0.0000 0.0000 0.0000  6 Sb 3.54
Mg 0.3333 0.6667 0.6233  4 Sb 2.90-2.91
Mg 0.6667 0.3333 0.3767  4 Sb 2.90-2.91
Sb 0.3333 0.6667 0.2695  4 Mg 2.90-2.91
Sb 0.6667 0.3333 0.7305  4 Mg 2.90-2.91

- The lowest E belongs to which entry?
  BaLu2Te4

- Which value of energy of formation does entry 3 give?
  -3.147 eV/atom

- Which value of calculated volume does entry 2 give?
  765 Å³/cell